Entry w
Computed, not measured: an optimized crystal structure of Li4Fe5CoO12 at the PBE with a Hubbard U level of DFT.

abc: 5.160 5.084 10.255
angles: 89.92 89.79 59.54
Fractional positions:
O  0.522  0.650  0.387
Li  0.854  0.495  0.247
O  0.679  0.336  0.105
Li  0.342  0.518  0.248
O  0.480  0.350  0.607
Fe  0.505  0.992  0.498
O  0.685  0.005  0.906
O  0.846  0.986  0.402
O  0.172  0.986  0.597
O  0.830  0.650  0.611
Fe  0.333  0.334  0.999
Fe  0.167  0.668  0.500
O  0.014  0.668  0.105
Fe  0.665  0.671  0.999
Co  0.998  0.004  0.999
O  0.318  0.668  0.893
Li  0.143  0.507  0.750
Li  0.647  0.501  0.751
O  0.172  0.350  0.392
Fe  0.837  0.329  0.499
O  0.309  0.005  0.092
O  0.986  0.336  0.893

Computed properties:
V = 231.8 Å³ per cell
M_tot = 25.01 μB/f.u.

=====

Entry x
Computed, not measured: an optimized crystal structure of Li4Fe5CoO12 at the PBE with a Hubbard U level of DFT.

abc: 4.920 4.929 10.169
angles: 89.45 88.96 59.94
Fractional positions:
Co  0.999  0.003  0.999
O  0.155  0.355  0.392
Fe  0.663  0.677  0.999
O  0.169  0.997  0.596
Li  0.849  0.499  0.247
O  0.329  0.002  0.095
Li  0.151  0.496  0.750
O  0.492  0.353  0.607
O  0.002  0.664  0.100
Fe  0.336  0.329  0.999
O  0.662  0.343  0.100
Li  0.344  0.506  0.249
O  0.336  0.663  0.899
O  0.512  0.641  0.393
O  0.848  0.641  0.606
O  0.838  0.998  0.402
Fe  0.167  0.668  0.499
O  0.996  0.341  0.898
Li  0.648  0.501  0.750
Fe  0.837  0.327  0.499
O  0.670  0.004  0.903
Fe  0.502  0.000  0.499

Computed properties:
V = 213.4 Å³ per cell
M_tot = 25.00 μB/f.u.

=====

Stability ranking, top entry: entry w; the second entry is 96 meV/atom less favorable.

=====

Entry w
Computed, not measured: an optimized crystal structure of Ca2Mn2O5 at the PBE with a Hubbard U level of DFT.

abc: 3.834 5.480 10.377
angles: 90.00 90.00 90.00
Fractional positions:
O  0.000  0.082  0.210
Ca  0.500  0.195  0.629
Mn  0.000  0.221  0.879
O  0.500  0.210  0.900
O  0.000  0.418  0.710
Mn  0.000  0.279  0.379
O  0.000  0.918  0.790
Mn  0.000  0.721  0.621
O  0.000  0.500  0.000
Ca  0.500  0.805  0.371
O  0.000  0.582  0.290
O  0.000  0.000  0.500
Ca  0.500  0.305  0.129
O  0.500  0.790  0.100
O  0.500  0.710  0.600
Ca  0.500  0.695  0.871
Mn  0.000  0.779  0.121
O  0.500  0.290  0.400

Computed properties:
V = 218.0 Å³ per cell
M_tot = 8.00 μB/f.u.

=====

Entry x
Computed, not measured: an optimized crystal structure of Ca2Mn2O5 at the PBE with a Hubbard U level of DFT.

abc: 5.457 5.620 8.448
angles: 108.96 71.63 88.64
Fractional positions:
O  0.341  0.130  0.500
Mn  0.013  0.007  0.002
Ca  0.393  0.133  0.217
Ca  0.110  0.417  0.783
Mn  0.719  0.176  0.500
O  0.746  0.772  0.030
O  0.154  0.816  0.735
O  0.852  0.823  0.500
O  0.907  0.195  0.258
Ca  0.614  0.870  0.787
Mn  0.515  0.505  0.998
O  0.774  0.239  0.974
O  0.666  0.437  0.741
Ca  0.901  0.582  0.213
O  0.249  0.765  0.026
O  0.278  0.245  0.970
Mn  0.210  0.808  0.500
O  0.388  0.580  0.266

Computed properties:
V = 230.2 Å³ per cell
M_tot = 8.00 μB/f.u.

=====

Stability ranking, top entry: entry w; the second entry is 5 meV/atom less favorable.